# BaPtO3

A geometry-optimized BaPtO3 structure (PBE, the Materials Project).

Summary:
E_form ... -1.71 eV/atom
E (MP2020) ... -31.4 eV/cell
Electronic total energy ... -29.33 eV per cell
Crystal system ... cubic
SG ... Pm-3m

POSCAR file:
```
BaPtO3
1.0
4.138 0.000 0.000
0.000 4.138 0.000
0.000 0.000 4.138
Ba O Pt
1 3 1
Direct
0.000 0.000 0.000
0.500 0.500 0.000
0.500 0.000 0.500
0.000 0.500 0.500
0.500 0.500 0.500
```

---

# BaPtO7

A geometry-optimized BaPtO7 structure (PBE, the Materials Project).

Summary:
E_form ... -0.63 eV/atom
Electronic total energy ... -96.58 eV per cell
Crystal system ... monoclinic
SG ... P2_1/m

POSCAR file:
```
BaPtO7
1.0
4.978 0.000 0.000
0.000 6.780 0.000
0.000 2.103 7.696
O Pt Ba
14 2 2
Direct
0.250 0.355 0.914
0.750 0.678 0.557
0.513 0.583 0.193
0.517 0.112 0.241
0.983 0.112 0.241
0.987 0.583 0.193
0.487 0.417 0.807
0.250 0.878 0.868
0.017 0.888 0.759
0.013 0.417 0.807
0.750 0.122 0.132
0.483 0.888 0.759
0.750 0.645 0.086
0.250 0.322 0.443
0.250 0.351 0.190
0.750 0.649 0.810
0.250 0.750 0.440
0.750 0.250 0.560
```

---

# Ba20Ru11PtO48

A geometry-optimized Ba20Ru11PtO48 structure (PBE, the Materials Project).

Summary:
E_form ... -2.30 eV/atom
E (MP2020) ... -568.2 eV/cell
Electronic total energy ... -535.17 eV per cell
Crystal system ... monoclinic
SG ... Pm

POSCAR file:
```
Ba20Ru11PtO48
1.0
5.988 0.000 0.000
0.000 11.024 0.000
0.000 0.106 20.120
Ba O Ru Pt
20 48 11 1
Direct
0.500 0.802 0.255
0.500 0.452 0.676
0.000 0.387 0.530
0.000 0.550 0.326
0.500 0.952 0.824
0.500 0.473 0.074
0.500 0.301 0.245
0.000 0.026 0.574
0.000 0.185 0.371
0.500 0.973 0.426
0.500 0.814 0.630
0.000 0.686 0.130
0.000 0.887 0.970
0.500 0.113 0.031
0.000 0.698 0.755
0.000 0.526 0.926
0.000 0.048 0.175
0.500 0.315 0.869
0.500 0.613 0.470
0.000 0.198 0.744
0.000 0.612 0.475
0.726 0.193 0.484
0.762 0.760 0.370
0.772 0.307 0.981
0.732 0.904 0.103
0.000 0.108 0.023
0.732 0.405 0.397
0.772 0.984 0.293
0.233 0.263 0.130
0.234 0.093 0.896
0.000 0.781 0.248
0.766 0.093 0.896
0.000 0.279 0.254
0.268 0.904 0.103
0.228 0.984 0.293
0.273 0.516 0.793
0.000 0.309 0.858
0.000 0.963 0.419
0.500 0.388 0.524
0.725 0.693 0.016
0.500 0.720 0.748
0.262 0.240 0.629
0.767 0.263 0.130
0.263 0.740 0.871
0.238 0.760 0.370
0.272 0.016 0.707
0.500 0.219 0.752
0.226 0.807 0.516
0.500 0.536 0.919
0.738 0.240 0.629
0.500 0.037 0.581
0.737 0.740 0.871
0.768 0.487 0.209
0.768 0.595 0.603
0.232 0.595 0.603
0.727 0.516 0.793
0.228 0.307 0.981
0.275 0.693 0.016
0.232 0.487 0.209
0.000 0.809 0.640
0.500 0.888 0.975
0.500 0.691 0.140
0.268 0.405 0.397
0.774 0.807 0.516
0.728 0.016 0.707
0.274 0.193 0.484
0.000 0.460 0.083
0.500 0.192 0.360
0.500 0.305 0.431
0.000 0.878 0.327
0.500 0.122 0.673
0.000 0.786 0.442
0.500 0.715 0.942
0.500 0.214 0.558
0.000 0.695 0.569
0.000 0.384 0.179
0.000 0.193 0.928
0.500 0.621 0.827
0.500 0.805 0.069
0.000 0.283 0.055
```